A plane-wave DFT calculation with PBE-GGA was carried out for crystalline WSCl4 at its relaxed geometry.

Calculated values
Total energy = -4.8761 eV per atom
Relative energy among the computed polymorphs = 0.03 eV per formula unit
Crystal system = triclinic

Unit cell a=6.444 b=7.478 c=8.617 alpha=75.43 beta=68.23 gamma=84.29
Sites, in units of the cell vectors:
1 W 0.139 0.760 0.785
2 W 0.861 0.240 0.215
3 S 0.299 0.018 0.710
4 S 0.701 0.982 0.290
5 Cl 0.117 0.658 0.069
6 Cl 0.883 0.342 0.931
7 Cl 0.434 0.558 0.718
8 Cl 0.566 0.442 0.282
9 Cl 0.082 0.734 0.543
10 Cl 0.918 0.266 0.457
11 Cl 0.768 0.837 0.892
12 Cl 0.232 0.163 0.108



A plane-wave DFT calculation with PBE-GGA was carried out for crystalline CeAsS at its relaxed geometry.

Calculated values
Total energy = -6.4726 eV per atom
Crystal system = tetragonal

Unit cell a=3.946 b=3.946 c=8.395 alpha=90.00 beta=90.00 gamma=90.00
Sites, in units of the cell vectors:
1 Ce 0.500 0.000 0.288
2 Ce 0.000 0.500 0.712
3 As 0.500 0.500 0.000
4 As 0.000 0.000 0.000
5 S 0.500 0.000 0.634
6 S 0.000 0.500 0.366



A plane-wave DFT calculation with PBE-GGA was carried out for crystalline FeNi3 at its relaxed geometry.

Calculated values
Total energy = -6.5253 eV per atom
Crystal system = tetragonal

Unit cell a=4.333 b=4.333 c=4.333 alpha=131.86 beta=131.86 gamma=70.44
Sites, in units of the cell vectors:
1 Fe 0.000 0.000 0.000
2 Ni 0.500 0.500 0.000
3 Ni 0.750 0.250 0.500
4 Ni 0.250 0.750 0.500